No. 1
Compound: CaNi2P2O9
Source: the Materials Project database
Functional: PBE+U
Structure: relaxed

Results
The crystal system is orthorhombic.

Structure (CIF):
```
data_CaNi2P2O9
_cell_length_a 14.260
_cell_length_b 6.466
_cell_length_c 7.319
_cell_angle_alpha 90.00
_cell_angle_beta 90.00
_cell_angle_gamma 90.00
_space_group_name_H-M_alt 'P n m a'
_space_group_IT_number 62
_space_group_name_Hall '-P 2ac 2n'
loop_
_atom_site_label
_atom_site_fract_x
_atom_site_fract_y
_atom_site_fract_z
Ca1 0.220 0.250 0.121
Ni1 0.000 0.000 0.000
Ni2 0.123 0.250 0.650
P1 0.065 0.750 0.641
P2 0.192 0.750 0.113
O1 0.009 0.250 0.506
O2 0.013 0.750 0.833
O3 0.053 0.250 0.869
O4 0.132 0.552 0.105
O5 0.133 0.563 0.638
O6 0.229 0.250 0.463
O7 0.247 0.250 0.791
```

No. 2
Compound: CaNiP2O7
Source: the Materials Project database
Functional: PBE+U
Structure: relaxed

Results
As for the distance to the lowest polymorph of the same formula: 10 meV/atom. The crystal system is triclinic.

Structure (CIF):
```
data_CaNiP2O7
_cell_length_a 6.313
_cell_length_b 6.556
_cell_length_c 7.019
_cell_angle_alpha 83.26
_cell_angle_beta 89.76
_cell_angle_gamma 68.20
_space_group_name_H-M_alt 'P -1'
_space_group_IT_number 2
_space_group_name_Hall '-P 1'
loop_
_atom_site_label
_atom_site_fract_x
_atom_site_fract_y
_atom_site_fract_z
Ca1 0.203 0.273 0.376
Ni1 0.252 0.872 0.804
P1 0.253 0.780 0.373
P2 0.338 0.341 0.879
O1 0.088 0.998 0.261
O2 0.143 0.621 0.451
O3 0.174 0.584 0.856
O4 0.257 0.189 0.778
O5 0.380 0.845 0.531
O6 0.420 0.253 0.090
O7 0.433 0.652 0.227
```

No. 3
Compound: CaNi2P2O8
Source: the Materials Project database
Functional: PBE+U
Structure: relaxed

Results
The crystal system is monoclinic.

Structure (CIF):
```
data_CaNi2P2O8
_cell_length_a 17.266
_cell_length_b 4.956
_cell_length_c 16.736
_cell_angle_alpha 90.00
_cell_angle_beta 118.46
_cell_angle_gamma 90.00
_space_group_name_H-M_alt 'C 1 2/c 1'
_space_group_IT_number 15
_space_group_name_Hall '-C 2yc'
loop_
_atom_site_label
_atom_site_fract_x
_atom_site_fract_y
_atom_site_fract_z
Ca1 0.154 0.178 0.140
Ni1 0.000 0.155 0.250
Ni2 0.096 0.210 0.462
Ni3 0.250 0.250 0.000
P1 0.018 0.291 0.613
P2 0.216 0.231 0.368
O1 0.019 0.399 0.131
O2 0.052 0.116 0.698
O3 0.078 0.206 0.959
O4 0.083 0.246 0.574
O5 0.121 0.248 0.356
O6 0.221 0.334 0.285
O7 0.223 0.082 0.550
O8 0.249 0.439 0.105
```

No. 4
Compound: CaNiP4O12
Source: the Materials Project database
Functional: PBE+U
Structure: relaxed

Results
The crystal system is monoclinic.

Structure (CIF):
```
data_CaNiP4O12
_cell_length_a 12.171
_cell_length_b 8.750
_cell_length_c 10.125
_cell_angle_alpha 90.00
_cell_angle_beta 117.43
_cell_angle_gamma 90.00
_space_group_name_H-M_alt 'C 1 2/c 1'
_space_group_IT_number 15
_space_group_name_Hall '-C 2yc'
loop_
_atom_site_label
_atom_site_fract_x
_atom_site_fract_y
_atom_site_fract_z
Ca1 0.000 0.047 0.250
Ni1 0.250 0.250 0.500
P1 0.003 0.276 0.974
P2 0.189 0.492 0.194
O1 0.030 0.138 0.910
O2 0.062 0.255 0.429
O3 0.072 0.398 0.657
O4 0.133 0.362 0.067
O5 0.217 0.080 0.334
O6 0.229 0.423 0.344
```

No. 5
Compound: CaNi2P2O10
Source: the Materials Project database
Functional: PBE+U
Structure: relaxed

Results
The crystal system is orthorhombic.

Structure (CIF):
```
data_CaNi2P2O10
_cell_length_a 7.106
_cell_length_b 12.681
_cell_length_c 15.092
_cell_angle_alpha 90.00
_cell_angle_beta 90.00
_cell_angle_gamma 90.00
_space_group_name_H-M_alt 'F d d d'
_space_group_IT_number 70
loop_
_space_group_symop_operation_xyz
'x,y,z'
'-x,-y,-z'
'-x+1/4,-y+1/4,z'
'x+1/4,y+1/4,-z'
'x,-y+1/4,-z+1/4'
'-x,y+1/4,z+1/4'
'-x+1/4,y,-z+1/4'
'x+1/4,-y,z+1/4'
'x,y+1/2,z+1/2'
'-x,-y+1/2,-z+1/2'
'-x+1/4,-y+3/4,z+1/2'
'x+1/4,y+3/4,-z+1/2'
'x,-y+3/4,-z+3/4'
'-x,y+3/4,z+3/4'
'-x+1/4,y+1/2,-z+3/4'
'x+1/4,-y+1/2,z+3/4'
'x+1/2,y,z+1/2'
'-x+1/2,-y,-z+1/2'
'-x+3/4,-y+1/4,z+1/2'
'x+3/4,y+1/4,-z+1/2'
'x+1/2,-y+1/4,-z+3/4'
'-x+1/2,y+1/4,z+3/4'
'-x+3/4,y,-z+3/4'
'x+3/4,-y,z+3/4'
'x+1/2,y+1/2,z'
'-x+1/2,-y+1/2,-z'
'-x+3/4,-y+3/4,z'
'x+3/4,y+3/4,-z'
'x+1/2,-y+3/4,-z+1/4'
'-x+1/2,y+3/4,z+1/4'
'-x+3/4,y+1/2,-z+1/4'
'x+3/4,-y+1/2,z+1/4'
loop_
_atom_site_label
_atom_site_fract_x
_atom_site_fract_y
_atom_site_fract_z
Ca1 0.125 0.125 0.125
Ni1 0.000 0.000 0.500
P1 0.125 0.125 0.331
O1 0.048 0.362 0.519
O2 0.100 0.025 0.861
O3 0.125 0.125 0.583
```

No. 6
Compound: CaNiP2O7
Source: the Materials Project database
Functional: PBE+U
Structure: relaxed

Results
As for the distance to the lowest polymorph of the same formula: 20 meV/atom. The crystal system is monoclinic.

Structure (CIF):
```
data_CaNiP2O7
_cell_length_a 7.298
_cell_length_b 8.763
_cell_length_c 9.129
_cell_angle_alpha 90.00
_cell_angle_beta 116.63
_cell_angle_gamma 90.00
_space_group_name_H-M_alt 'P 1 21/c 1'
_space_group_IT_number 14
_space_group_name_Hall '-P 2ybc'
loop_
_atom_site_label
_atom_site_fract_x
_atom_site_fract_y
_atom_site_fract_z
Ca1 0.229 0.046 0.381
Ni1 0.276 0.075 0.885
P1 0.024 0.750 0.464
P2 0.452 0.723 0.264
O1 0.042 0.108 0.650
O2 0.061 0.606 0.388
O3 0.116 0.230 0.954
O4 0.239 0.683 0.105
O5 0.394 0.234 0.307
O6 0.436 0.632 0.849
O7 0.485 0.579 0.372
```

No. 7
Compound: CaNi3P4O14
Source: the Materials Project database
Functional: PBE+U
Structure: relaxed

Results
The crystal system is monoclinic.

Structure (CIF):
```
data_CaNi3P4O14
_cell_length_a 7.397
_cell_length_b 7.662
_cell_length_c 9.464
_cell_angle_alpha 90.00
_cell_angle_beta 112.00
_cell_angle_gamma 90.00
_space_group_name_H-M_alt 'P 1 21/c 1'
_space_group_IT_number 14
_space_group_name_Hall '-P 2ybc'
loop_
_atom_site_label
_atom_site_fract_x
_atom_site_fract_y
_atom_site_fract_z
Ca1 0.000 0.000 0.000
Ni1 0.315 0.127 0.475
Ni2 0.500 0.000 0.000
P1 0.098 0.065 0.703
P2 0.381 0.704 0.191
O1 0.107 0.524 0.805
O2 0.121 0.193 0.587
O3 0.175 0.623 0.175
O4 0.227 0.119 0.870
O5 0.331 0.622 0.606
O6 0.472 0.576 0.111
O7 0.492 0.712 0.364
```

No. 8
Compound: CaNiP2O7
Source: the Materials Project database
Functional: PBE+U
Structure: relaxed

Results
As for the distance to the lowest polymorph of the same formula: 0 meV/atom. The crystal system is triclinic.

Structure (CIF):
```
data_CaNiP2O7
_cell_length_a 6.459
_cell_length_b 6.560
_cell_length_c 6.692
_cell_angle_alpha 66.31
_cell_angle_beta 87.34
_cell_angle_gamma 82.55
_space_group_name_H-M_alt 'P -1'
_space_group_IT_number 2
_space_group_name_Hall '-P 1'
loop_
_atom_site_label
_atom_site_fract_x
_atom_site_fract_y
_atom_site_fract_z
Ca1 0.143 0.229 0.326
Ni1 0.352 0.400 0.724
P1 0.143 0.729 0.252
P2 0.374 0.858 0.832
O1 0.027 0.399 0.779
O2 0.068 0.884 0.363
O3 0.222 0.890 0.020
O4 0.273 0.705 0.754
O5 0.331 0.550 0.367
O6 0.375 0.099 0.662
O7 0.411 0.246 0.062
```

No. 9
Compound: CaNiSnP2O9
Source: the Materials Project database
Functional: PBE+U
Structure: relaxed

Results
The crystal system is orthorhombic.

Structure (CIF):
```
data_CaNiSnP2O9
_cell_length_a 14.321
_cell_length_b 6.608
_cell_length_c 7.772
_cell_angle_alpha 90.00
_cell_angle_beta 90.00
_cell_angle_gamma 90.00
_space_group_name_H-M_alt 'P n m a'
_space_group_IT_number 62
_space_group_name_Hall '-P 2ac 2n'
loop_
_atom_site_label
_atom_site_fract_x
_atom_site_fract_y
_atom_site_fract_z
Ca1 0.209 0.250 0.083
Ni1 0.000 0.000 0.000
Sn1 0.117 0.250 0.654
P1 0.067 0.750 0.650
P2 0.189 0.750 0.119
O1 0.005 0.250 0.496
O2 0.019 0.750 0.826
O3 0.062 0.250 0.885
O4 0.131 0.555 0.106
O5 0.135 0.567 0.630
O6 0.230 0.250 0.478
O7 0.248 0.750 0.289
```

Number 1: formation enthalpy at 0 K -2.26 eV per atom, VASP energy -357.3 eV for the cell shown, volume 674.91 Å³/cell. Number 2: formation enthalpy at 0 K -2.71 eV per atom, VASP energy -151.4 eV for the cell shown, volume 267.62 Å³/cell. Number 3: formation enthalpy at 0 K -2.50 eV per atom, VASP energy -687.6 eV for the cell shown, volume 1258.93 Å³/cell. Number 4: formation enthalpy at 0 K -2.68 eV per atom, VASP energy -505.3 eV for the cell shown, volume 956.98 Å³/cell. Number 5: formation enthalpy at 0 K -1.85 eV per atom, VASP energy -759.2 eV for the cell shown, volume 1359.93 Å³/cell. Number 6: formation enthalpy at 0 K -2.70 eV per atom, VASP energy -302.5 eV for the cell shown, volume 521.94 Å³/cell. Number 7: formation enthalpy at 0 K -2.48 eV per atom, VASP energy -295.3 eV for the cell shown, volume 497.38 Å³/cell. Number 8: formation enthalpy at 0 K -2.72 eV per atom, VASP energy -151.7 eV for the cell shown, volume 257.49 Å³/cell. Number 9: formation enthalpy at 0 K -2.58 eV per atom, VASP energy -378.1 eV for the cell shown, volume 735.51 Å³/cell.